Entry 1:
First-principles (PBE+U) data for Ni3OF5 after structural relaxation, as listed in the Materials Project.

CIF file:
```
data_Ni3OF5
_cell_length_a 3.083
_cell_length_b 6.638
_cell_length_c 10.530
_cell_angle_alpha 71.72
_cell_angle_beta 90.00
_cell_angle_gamma 90.00
_symmetry_space_group_name_H-M 'P 1'
_symmetry_Int_Tables_number 1
_symmetry_space_group_name_Hall 'P 1'
loop_
_atom_site_label
_atom_site_type_symbol
_atom_site_fract_x
_atom_site_fract_y
_atom_site_fract_z
Ni1 Ni 0.000 0.007 0.997
Ni2 Ni 0.500 0.489 0.003
Ni3 Ni 0.500 0.834 0.331
Ni4 Ni 0.000 0.667 0.667
Ni5 Ni 0.000 0.330 0.342
Ni6 Ni 0.500 0.169 0.663
O1 O 0.000 0.302 0.001
O2 O 0.500 0.269 0.464
F1 F 0.500 0.933 0.130
F2 F 0.000 0.366 0.667
F3 F 0.000 0.698 0.001
F4 F 0.000 0.030 0.333
F5 F 0.500 0.396 0.206
F6 F 0.500 0.733 0.534
F7 F 0.500 0.602 0.798
F8 F 0.000 0.970 0.665
F9 F 0.000 0.638 0.334
F10 F 0.500 0.067 0.864
```

***

Entry 2:
First-principles (PBE+U) data for Ni3OF5 after structural relaxation, as listed in the Materials Project.

CIF file:
```
data_Ni3OF5
_cell_length_a 3.094
_cell_length_b 4.696
_cell_length_c 14.087
_cell_angle_alpha 90.00
_cell_angle_beta 90.00
_cell_angle_gamma 90.00
_symmetry_space_group_name_H-M 'P 1'
_symmetry_Int_Tables_number 1
_symmetry_space_group_name_Hall 'P 1'
loop_
_atom_site_label
_atom_site_type_symbol
_atom_site_fract_x
_atom_site_fract_y
_atom_site_fract_z
Ni1 Ni 0.000 0.763 0.003
Ni2 Ni 0.000 0.739 0.334
Ni3 Ni 0.000 0.765 0.663
Ni4 Ni 0.500 0.235 0.163
Ni5 Ni 0.500 0.237 0.503
Ni6 Ni 0.500 0.261 0.834
O1 O 0.500 0.948 0.601
O2 O 0.000 0.052 0.101
F1 F 0.500 0.943 0.269
F2 F 0.500 0.949 0.933
F3 F 0.000 0.057 0.769
F4 F 0.000 0.051 0.433
F5 F 0.000 0.442 0.230
F6 F 0.000 0.447 0.565
F7 F 0.000 0.454 0.902
F8 F 0.500 0.553 0.065
F9 F 0.500 0.546 0.402
F10 F 0.500 0.558 0.730
```

***

Entry 3:
First-principles (PBE+U) data for Ni6OF11 after structural relaxation, as listed in the Materials Project.

CIF file:
```
data_Ni6OF11
_cell_length_a 5.636
_cell_length_b 5.636
_cell_length_c 7.309
_cell_angle_alpha 72.74
_cell_angle_beta 72.74
_cell_angle_gamma 72.71
_symmetry_space_group_name_H-M 'P 1'
_symmetry_Int_Tables_number 1
_symmetry_space_group_name_Hall 'P 1'
loop_
_atom_site_label
_atom_site_type_symbol
_atom_site_fract_x
_atom_site_fract_y
_atom_site_fract_z
Ni1 Ni 0.333 0.333 0.167
Ni2 Ni 0.665 0.665 0.340
Ni3 Ni 0.340 0.340 0.668
Ni4 Ni 0.001 0.001 0.500
Ni5 Ni 0.663 0.663 0.828
Ni6 Ni 0.998 0.998 0.999
O1 O 0.566 0.566 0.630
F1 F 0.970 0.362 0.333
F2 F 0.639 0.030 0.667
F3 F 0.106 0.106 0.701
F4 F 0.764 0.764 0.037
F5 F 0.434 0.434 0.369
F6 F 0.899 0.899 0.297
F7 F 0.231 0.231 0.965
F8 F 0.696 0.302 0.000
F9 F 0.362 0.970 0.333
F10 F 0.030 0.639 0.667
F11 F 0.302 0.696 0.000
```

***

Entry 4:
First-principles (PBE+U) data for Ni3OF5 after structural relaxation, as listed in the Materials Project.

CIF file:
```
data_Ni3OF5
_cell_length_a 5.625
_cell_length_b 5.625
_cell_length_c 7.274
_cell_angle_alpha 72.82
_cell_angle_beta 72.82
_cell_angle_gamma 73.32
_symmetry_space_group_name_H-M 'P 1'
_symmetry_Int_Tables_number 1
_symmetry_space_group_name_Hall 'P 1'
loop_
_atom_site_label
_atom_site_type_symbol
_atom_site_fract_x
_atom_site_fract_y
_atom_site_fract_z
Ni1 Ni 0.672 0.672 0.839
Ni2 Ni 0.666 0.666 0.326
Ni3 Ni 0.334 0.334 0.674
Ni4 Ni 0.328 0.328 0.161
Ni5 Ni 0.000 0.000 0.500
Ni6 Ni 0.000 0.000 0.000
O1 O 0.229 0.229 0.965
O2 O 0.771 0.771 0.035
F1 F 0.636 0.032 0.667
F2 F 0.968 0.364 0.333
F3 F 0.899 0.899 0.300
F4 F 0.570 0.570 0.630
F5 F 0.101 0.101 0.700
F6 F 0.430 0.430 0.370
F7 F 0.695 0.305 0.000
F8 F 0.364 0.968 0.333
F9 F 0.032 0.636 0.667
F10 F 0.305 0.695 0.000
```

***

Entry 5:
First-principles (PBE+U) data for Ni3OF5 after structural relaxation, as listed in the Materials Project.

CIF file:
```
data_Ni3OF5
_cell_length_a 5.622
_cell_length_b 5.626
_cell_length_c 7.325
_cell_angle_alpha 72.28
_cell_angle_beta 72.26
_cell_angle_gamma 72.36
_symmetry_space_group_name_H-M 'P 1'
_symmetry_Int_Tables_number 1
_symmetry_space_group_name_Hall 'P 1'
loop_
_atom_site_label
_atom_site_type_symbol
_atom_site_fract_x
_atom_site_fract_y
_atom_site_fract_z
Ni1 Ni 0.333 0.343 0.162
Ni2 Ni 0.329 0.332 0.665
Ni3 Ni 0.672 0.675 0.335
Ni4 Ni 0.657 0.668 0.838
Ni5 Ni 0.996 0.998 0.495
Ni6 Ni 0.009 0.988 0.006
O1 O 0.902 0.898 0.297
O2 O 0.305 0.695 0.001
F1 F 0.364 0.977 0.331
F2 F 0.025 0.636 0.670
F3 F 0.098 0.097 0.702
F4 F 0.438 0.440 0.367
F5 F 0.767 0.765 0.036
F6 F 0.233 0.233 0.963
F7 F 0.563 0.565 0.632
F8 F 0.634 0.031 0.666
F9 F 0.971 0.365 0.334
F10 F 0.703 0.296 0.000
```

***

Entry 6:
First-principles (PBE+U) data for Ni3OF5 after structural relaxation, as listed in the Materials Project.

CIF file:
```
data_Ni3OF5
_cell_length_a 4.706
_cell_length_b 5.634
_cell_length_c 7.763
_cell_angle_alpha 86.01
_cell_angle_beta 89.30
_cell_angle_gamma 89.15
_symmetry_space_group_name_H-M 'P 1'
_symmetry_Int_Tables_number 1
_symmetry_space_group_name_Hall 'P 1'
loop_
_atom_site_label
_atom_site_type_symbol
_atom_site_fract_x
_atom_site_fract_y
_atom_site_fract_z
Ni1 Ni 0.490 0.335 0.674
Ni2 Ni 0.510 0.665 0.326
Ni3 Ni 0.500 0.000 0.000
Ni4 Ni 0.001 0.169 0.336
Ni5 Ni 0.000 0.500 0.000
Ni6 Ni 0.999 0.831 0.664
O1 O 0.697 0.704 0.098
O2 O 0.303 0.296 0.902
F1 F 0.800 0.204 0.105
F2 F 0.805 0.869 0.432
F3 F 0.805 0.533 0.766
F4 F 0.699 0.036 0.767
F5 F 0.694 0.366 0.440
F6 F 0.301 0.964 0.233
F7 F 0.306 0.634 0.560
F8 F 0.200 0.796 0.895
F9 F 0.195 0.467 0.234
F10 F 0.195 0.131 0.568
```

***

Entry 7:
First-principles (PBE+U) data for Ni6OF11 after structural relaxation, as listed in the Materials Project.

CIF file:
```
data_Ni6OF11
_cell_length_a 3.096
_cell_length_b 4.735
_cell_length_c 13.915
_cell_angle_alpha 89.59
_cell_angle_beta 90.00
_cell_angle_gamma 90.00
_symmetry_space_group_name_H-M 'P 1'
_symmetry_Int_Tables_number 1
_symmetry_space_group_name_Hall 'P 1'
loop_
_atom_site_label
_atom_site_type_symbol
_atom_site_fract_x
_atom_site_fract_y
_atom_site_fract_z
Ni1 Ni 0.000 0.988 0.005
Ni2 Ni 0.500 0.513 0.164
Ni3 Ni 0.000 0.004 0.333
Ni4 Ni 0.500 0.501 0.500
Ni5 Ni 0.000 0.999 0.667
Ni6 Ni 0.500 0.496 0.834
O1 O 0.500 0.812 0.069
F1 F 0.000 0.317 0.097
F2 F 0.000 0.683 0.238
F3 F 0.500 0.188 0.261
F4 F 0.500 0.820 0.403
F5 F 0.000 0.318 0.430
F6 F 0.000 0.683 0.570
F7 F 0.500 0.182 0.596
F8 F 0.500 0.816 0.737
F9 F 0.000 0.317 0.763
F10 F 0.000 0.682 0.903
F11 F 0.500 0.180 0.932
```

***

Entry 8:
First-principles (PBE+U) data for Ni3OF5 after structural relaxation, as listed in the Materials Project.

CIF file:
```
data_Ni3OF5
_cell_length_a 4.695
_cell_length_b 5.623
_cell_length_c 7.759
_cell_angle_alpha 86.15
_cell_angle_beta 90.00
_cell_angle_gamma 90.00
_symmetry_space_group_name_H-M 'P 1'
_symmetry_Int_Tables_number 1
_symmetry_space_group_name_Hall 'P 1'
loop_
_atom_site_label
_atom_site_type_symbol
_atom_site_fract_x
_atom_site_fract_y
_atom_site_fract_z
Ni1 Ni 0.509 0.748 0.992
Ni2 Ni 0.487 0.412 0.332
Ni3 Ni 0.509 0.077 0.670
Ni4 Ni 0.009 0.923 0.330
Ni5 Ni 0.987 0.588 0.668
Ni6 Ni 0.009 0.252 0.008
O1 O 0.195 0.214 0.234
O2 O 0.695 0.786 0.766
F1 F 0.197 0.880 0.565
F2 F 0.195 0.550 0.898
F3 F 0.306 0.715 0.226
F4 F 0.300 0.045 0.898
F5 F 0.302 0.382 0.571
F6 F 0.697 0.120 0.435
F7 F 0.695 0.450 0.102
F8 F 0.806 0.285 0.774
F9 F 0.802 0.618 0.429
F10 F 0.800 0.955 0.102
```

***

no.,mass density (g/cm3),ΔE to the lowest computed polymorph (meV/atom),energy relative to the elements (meV/atom)
1,4.66,7.9,-1992.8
2,4.66,7.0,-1993.7
3,4.65,0.2,-2156.4
4,4.65,8.7,-1992.0
5,4.66,4.1,-1996.5
6,4.64,9.1,-1991.6
7,4.70,3.4,-2153.2
8,4.66,5.8,-1994.9